# 1
This record from the Materials Project database describes an optimized crystal structure of La3Ti5Al15O37. The functional is GGA-PBE.

Cell and atoms, written as POSCAR:
```
La3Ti5Al15O37
1.0
11.469 -5.698 0.000
11.469 5.698 0.000
-1.299 0.000 9.844
La Ti Al O
6 10 30 74
Cartesian
8.655 4.048 1.527
10.820 4.611 4.922
17.774 1.571 2.838
8.005 -4.048 6.449
11.469 -4.611 0.000
17.124 -1.571 7.760
8.768 4.461 8.164
13.780 3.011 9.636
11.279 1.554 6.645
11.929 -1.554 1.723
15.376 0.140 4.813
17.809 1.538 9.573
14.727 -0.140 9.735
9.418 -4.461 3.242
14.430 -3.011 4.714
18.459 -1.538 4.651
5.676 2.891 1.857
2.674 1.127 2.253
3.861 1.434 7.519
12.098 4.217 2.016
6.389 1.501 9.551
4.897 0.127 0.084
4.247 -0.127 5.006
2.024 -1.127 7.175
8.601 1.430 4.835
11.084 2.925 9.312
8.820 1.365 8.125
7.340 0.162 2.113
4.511 -1.434 2.597
10.469 1.388 1.542
6.690 -0.162 7.035
13.864 2.967 4.591
7.038 -1.501 4.629
14.123 1.470 2.189
5.026 -2.891 6.779
13.838 1.414 7.162
7.951 -1.430 9.757
11.951 0.094 4.286
9.470 -1.365 3.203
11.301 -0.094 9.208
9.820 -1.388 6.464
13.473 -1.470 7.111
14.488 -1.414 2.240
11.734 -2.925 4.390
13.215 -2.967 9.513
11.449 -4.217 6.938
5.858 3.189 5.532
6.744 2.980 0.301
3.917 1.440 0.813
1.493 0.048 1.498
3.657 1.346 5.775
0.843 -0.048 6.420
9.993 4.287 9.841
8.580 3.126 4.327
7.752 2.743 8.762
6.339 1.516 2.701
5.581 1.429 7.846
3.760 -0.001 3.293
3.110 0.001 8.215
12.689 4.051 3.746
10.769 2.953 2.225
10.141 2.769 7.581
12.511 3.973 8.673
8.724 1.440 1.297
6.599 0.188 0.409
8.059 1.163 6.485
3.267 -1.440 5.735
5.950 -0.188 5.331
4.307 -1.346 0.853
13.325 2.812 1.103
12.711 2.788 6.238
10.521 1.325 5.006
10.020 1.339 9.740
7.657 0.043 8.747
8.307 -0.043 3.825
6.231 -1.429 2.924
5.690 -1.516 7.623
15.186 2.789 3.179
14.736 2.742 8.075
12.330 1.401 8.510
13.183 1.355 3.789
10.286 0.022 7.551
8.709 -1.163 1.563
10.936 -0.022 2.629
8.075 -1.440 6.219
15.048 1.722 5.790
15.455 1.401 0.795
6.094 -2.980 5.223
6.507 -3.189 0.610
12.669 0.138 6.169
13.319 -0.138 1.247
11.171 -1.325 0.084
10.669 -1.339 4.818
8.401 -2.743 3.840
7.930 -3.126 9.249
15.296 0.076 2.939
17.335 1.398 7.691
14.646 -0.076 7.861
12.979 -1.401 3.588
12.533 -1.355 8.711
10.790 -2.769 2.659
10.119 -2.953 7.147
17.106 0.066 4.965
17.755 -0.066 0.043
19.825 1.010 1.705
14.806 -1.401 5.717
12.675 -2.812 6.025
13.360 -2.788 1.316
15.698 -1.722 0.868
19.725 0.285 4.295
10.643 -4.287 4.919
19.076 -0.285 9.217
17.985 -1.398 2.769
14.537 -2.789 8.101
15.385 -2.742 3.153
12.040 -4.051 8.668
13.161 -3.973 3.751
21.345 0.187 7.568
19.175 -1.010 6.627
21.994 -0.187 2.645
```

Properties
* energy with MP2020 corrections: -996.22 eV per cell
* energy of formation: -3.41 eV/atom


# 2
This record from the Materials Project database describes an optimized crystal structure of NdVGe3. The functional is GGA-PBE.

Cell and atoms, written as POSCAR:
```
NdVGe3
1.0
6.264 0.000 0.000
-3.132 5.425 0.000
0.000 0.000 5.626
Nd V Ge
2 2 6
Cartesian
0.000 3.616 1.406
3.132 1.808 4.219
0.000 0.000 0.000
0.000 0.000 2.813
0.000 2.109 4.219
-1.306 4.370 4.219
1.826 1.054 1.406
1.306 4.370 4.219
4.438 1.054 1.406
3.132 3.316 1.406
```

Properties
* energy of formation: -0.50 eV/atom


# 3
This record from the Materials Project database describes an optimized crystal structure of SnO2. The functional is GGA-PBE.

Cell and atoms, written as POSCAR:
```
SnO2
1.0
10.733 0.000 0.000
0.634 10.934 0.000
0.295 0.859 11.198
Sn O
30 60
Cartesian
0.000 0.000 0.000
0.398 3.005 5.598
0.548 3.066 8.993
0.617 4.961 2.356
1.057 6.160 9.895
1.276 8.723 6.842
2.147 1.454 2.767
3.186 10.476 9.413
2.866 7.459 1.285
3.263 5.999 4.666
3.254 3.937 7.474
3.818 9.233 4.552
3.932 7.246 8.046
4.013 3.779 1.613
4.918 1.257 5.577
5.249 0.899 1.661
6.092 9.274 9.606
6.048 4.538 4.360
6.365 6.330 0.780
6.964 8.907 6.490
7.706 8.878 3.238
7.836 2.472 10.045
7.974 3.280 6.783
8.018 3.685 1.796
8.535 5.997 9.475
9.013 11.099 7.146
8.812 0.670 2.341
9.566 5.893 5.572
9.702 8.023 0.463
10.850 8.409 3.971
0.287 0.817 1.853
1.690 9.425 4.810
1.878 10.049 10.921
1.272 1.616 4.533
1.461 2.560 7.294
1.520 5.642 0.511
1.810 7.242 8.329
2.037 10.262 7.829
1.815 6.278 3.248
1.720 1.639 10.001
2.096 4.432 9.187
1.930 3.444 2.169
2.270 4.624 5.840
3.200 7.752 6.147
3.407 10.321 2.694
3.946 8.463 9.695
3.481 1.844 1.087
3.952 7.587 3.458
4.448 10.535 5.882
4.160 4.451 3.506
4.457 5.368 8.261
4.307 2.302 7.185
4.662 10.106 1.917
4.212 1.483 3.653
4.445 5.491 0.702
5.076 11.024 9.464
5.057 5.740 5.585
5.427 8.578 7.691
5.586 8.159 0.435
6.222 8.684 4.575
5.919 2.887 1.948
6.269 1.710 10.940
6.356 2.761 5.397
7.136 7.473 9.898
6.930 5.293 2.674
7.341 10.893 5.874
7.443 10.824 2.501
7.445 6.949 6.926
7.330 4.593 0.078
7.805 9.732 8.277
7.429 1.714 8.106
7.742 4.169 8.747
7.862 4.768 5.371
7.955 7.690 1.612
8.811 6.707 7.418
8.517 2.034 0.629
8.614 2.416 3.285
8.959 7.514 4.377
9.521 9.957 3.631
9.611 10.238 0.710
9.317 1.792 6.186
9.609 4.919 1.505
10.084 7.310 9.973
10.140 9.551 6.644
9.796 1.734 9.566
9.986 4.230 6.882
10.302 4.707 9.764
10.543 4.521 4.279
11.036 7.922 2.048
11.210 7.161 5.660
```

Properties
* energy with MP2020 corrections: -545.25 eV per cell
* energy of formation: -1.42 eV/atom


# 4
This record from the Materials Project database describes an optimized crystal structure of Tl2Ag3P3O12. The functional is GGA-PBE.

Cell and atoms, written as POSCAR:
```
Tl2Ag3P3O12
1.0
6.576 -6.698 0.000
6.576 6.698 0.000
-2.942 0.000 6.174
Tl Ag P O
4 6 6 24
Cartesian
2.611 2.069 1.017
1.140 -2.069 4.104
9.069 2.069 2.070
7.598 -2.069 5.157
4.369 6.593 4.630
4.369 3.039 4.630
6.576 0.000 0.000
5.104 0.000 3.087
5.840 -3.039 1.543
5.840 -6.593 1.543
1.317 1.351 3.980
5.840 3.179 1.543
2.788 -1.351 0.893
7.420 1.351 5.280
4.369 -3.179 4.630
8.892 -1.351 2.194
1.073 2.130 2.639
0.783 2.267 5.135
5.715 4.097 0.292
0.402 0.065 3.927
1.874 -0.065 0.840
5.965 4.097 2.795
4.643 2.209 1.828
2.796 1.006 4.175
-0.398 -2.130 5.726
2.254 -2.267 2.048
7.037 2.209 1.259
4.267 -1.006 1.088
5.942 1.006 5.086
3.172 -2.209 4.915
7.955 2.267 4.126
10.607 2.130 0.448
7.413 -1.006 1.999
5.566 -2.209 4.346
4.244 -4.097 3.379
8.335 0.065 5.334
9.806 -0.065 2.247
4.494 -4.097 5.882
9.426 -2.267 1.039
9.136 -2.130 3.534
```

Properties
* energy with MP2020 corrections: -249.40 eV per cell
* energy of formation: -1.79 eV/atom


# 5
This record from the Materials Project database describes an optimized crystal structure of UAlCo. The functional is GGA-PBE.

Cell and atoms, written as POSCAR:
```
UAlCo
1.0
7.970 0.000 0.000
0.000 2.653 4.627
0.000 -2.653 4.627
U Al Co
4 4 4
Cartesian
1.317 0.000 0.000
2.420 0.000 3.190
5.551 0.000 3.190
6.653 0.000 0.000
1.869 0.000 6.267
3.985 -1.357 5.458
3.985 1.357 5.458
6.101 0.000 6.267
0.000 -1.255 2.412
0.000 1.255 2.412
0.000 0.000 4.654
3.985 0.000 7.825
```

Properties
* energy of formation: -0.23 eV/atom


# 6
This record from the Materials Project database describes an optimized crystal structure of NaCa2Rh. The functional is GGA-PBE.

Cell and atoms, written as POSCAR:
```
NaCa2Rh
1.0
0.000 3.672 3.672
3.672 0.000 3.672
3.672 3.672 0.000
Na Ca Rh
1 2 1
Cartesian
0.000 0.000 0.000
1.836 1.836 1.836
5.508 5.508 5.508
3.672 3.672 3.672
```

Properties
* energy of formation: -0.13 eV/atom


# 7
This record from the Materials Project database describes an optimized crystal structure of Pd2Cl2O. The functional is GGA-PBE.

Cell and atoms, written as POSCAR:
```
Pd2Cl2O
1.0
-3.239 3.239 5.024
3.239 -3.239 5.024
3.239 3.239 -5.024
Pd Cl O
4 4 2
Cartesian
0.000 0.000 0.000
1.620 1.620 -2.512
1.620 -1.620 2.512
0.000 3.239 0.000
3.239 1.620 -0.806
0.000 1.620 1.706
3.239 1.620 3.318
0.000 1.620 5.831
3.239 -1.620 3.768
0.000 4.859 1.256
```

Properties
* energy with MP2020 corrections: -43.69 eV per cell
* energy of formation: -0.57 eV/atom


# 8
This record from the Materials Project database describes an optimized crystal structure of CsRbO. The functional is GGA-PBE.

Cell and atoms, written as POSCAR:
```
CsRbO
1.0
7.154 0.000 0.000
0.000 5.040 0.000
0.000 0.000 9.953
Cs Rb O
4 4 4
Cartesian
0.784 1.260 1.160
2.793 3.780 6.136
4.361 1.260 3.817
6.370 3.780 8.793
0.095 3.780 3.728
3.482 1.260 8.704
3.672 3.780 1.249
7.059 1.260 6.225
1.541 1.260 4.045
2.036 3.780 9.022
5.118 1.260 0.931
5.613 3.780 5.907
```

Properties
* energy with MP2020 corrections: -40.45 eV per cell
* energy of formation: -1.10 eV/atom


# 9
This record from the Materials Project database describes an optimized crystal structure of CrNiAs. The functional is GGA-PBE.

Cell and atoms, written as POSCAR:
```
CrNiAs
1.0
6.219 0.000 0.000
-3.110 5.386 0.000
0.000 0.000 3.624
Cr Ni As
3 3 3
Cartesian
-1.851 3.205 0.000
1.259 2.181 0.000
3.701 0.000 0.000
-0.793 1.374 1.812
1.587 0.000 1.812
2.316 4.012 1.812
0.000 0.000 0.000
0.000 3.591 1.812
3.110 1.795 1.812
```

Properties
* energy of formation: -0.22 eV/atom


# 10
This record from the Materials Project database describes an optimized crystal structure of Rb2TlCuBr6. The functional is GGA-PBE.

Cell and atoms, written as POSCAR:
```
Rb2TlCuBr6
1.0
0.000 5.489 5.489
5.489 0.000 5.489
5.489 5.489 0.000
Rb Tl Cu Br
2 1 1 6
Cartesian
2.745 2.745 2.745
8.234 8.234 8.234
0.000 0.000 0.000
5.489 5.489 5.489
5.489 5.489 2.887
5.489 2.887 5.489
8.091 5.489 5.489
2.887 5.489 5.489
5.489 8.091 5.489
5.489 5.489 8.091
```

Properties
* energy with MP2020 corrections: -31.31 eV per cell
* energy of formation: -1.31 eV/atom


# 11
This record from the Materials Project database describes an optimized crystal structure of EuGa2Ge4. The functional is GGA-PBE.

Cell and atoms, written as POSCAR:
```
EuGa2Ge4
1.0
2.107 -5.783 0.000
2.107 5.783 0.000
0.000 0.000 13.089
Eu Ga Ge
2 4 8
Cartesian
2.107 3.434 9.817
2.107 -3.434 3.272
2.107 2.828 0.638
2.107 2.828 5.907
2.107 -2.828 7.183
2.107 -2.828 12.451
2.107 4.951 2.015
2.107 4.951 4.530
2.107 0.358 1.228
2.107 0.358 5.317
2.107 -0.358 7.772
2.107 -0.358 11.862
2.107 -4.951 8.559
2.107 -4.951 11.075
```

Properties
* ΔE to the lowest computed polymorph: 0.000 eV per atom
* energy of formation: -0.23 eV/atom


- Which value of energy of formation does entry 8 give?
  -1.10 eV/atom